(1)
{"formula": "LiCeW2O8", "functional": "PBE+U", "state": "relaxed", "energy_ev_per_atom": -7.538, "sg": "No. 2", "crystal_system": "triclinic", "cell": [[-1.774, 2.236, 6.638], [4.213, -5.502, 2.769], [3.843, 4.961, -4.213]], "species": ["Li", "Li", "Ce", "Ce", "W", "W", "W", "W", "O", "O", "O", "O", "O", "O", "O", "O", "O", "O", "O", "O", "O", "O", "O", "O"], "frac_coords": [[0.251, 0.677, 0.010], [0.749, 0.323, 0.990], [0.184, 0.288, 0.463], [0.816, 0.712, 0.537], [0.262, 0.292, 0.030], [0.738, 0.708, 0.970], [0.648, 0.104, 0.286], [0.352, 0.896, 0.714], [0.185, 0.365, 0.807], [0.815, 0.635, 0.193], [0.449, 0.538, 0.252], [0.551, 0.462, 0.748], [0.865, 0.011, 0.200], [0.135, 0.989, 0.800], [0.706, 0.009, 0.483], [0.294, 0.991, 0.517], [0.179, 0.637, 0.560], [0.821, 0.363, 0.440], [0.481, 0.827, 0.008], [0.519, 0.173, 0.992], [0.042, 0.304, 0.091], [0.958, 0.696, 0.909], [0.383, 0.172, 0.258], [0.617, 0.828, 0.742]]}

***

(2)
{"formula": "Cr3AgO8", "functional": "PBE+U", "state": "relaxed", "energy_ev_per_atom": -6.633, "cell": [[5.156, -0.001, 0.278], [2.150, 4.687, 0.278], [-0.035, -0.023, 14.352]], "species": ["Cr", "Cr", "Cr", "Cr", "Cr", "Cr", "Ag", "Ag", "O", "O", "O", "O", "O", "O", "O", "O", "O", "O", "O", "O", "O", "O", "O", "O"], "frac_coords": [[0.000, 0.000, 0.750], [0.653, 0.653, 0.141], [0.347, 0.347, 0.359], [0.000, 0.000, 0.250], [0.653, 0.653, 0.641], [0.347, 0.347, 0.859], [0.000, 0.000, 0.000], [0.000, 0.000, 0.500], [0.252, 0.252, 0.460], [0.252, 0.252, 0.960], [0.748, 0.748, 0.040], [0.748, 0.748, 0.539], [0.223, 0.223, 0.275], [0.223, 0.223, 0.775], [0.777, 0.777, 0.225], [0.777, 0.777, 0.725], [0.793, 0.290, 0.150], [0.793, 0.290, 0.650], [0.290, 0.793, 0.150], [0.290, 0.793, 0.650], [0.207, 0.710, 0.350], [0.207, 0.710, 0.850], [0.710, 0.207, 0.350], [0.710, 0.207, 0.850]]}

***

(3)
{"formula": "Li2MnP2O7", "functional": "PBE+U", "state": "relaxed", "relative_energy_mev_per_atom": 20.3, "cell": [[-7.439, -0.704, 4.252], [2.667, -7.881, -2.766], [6.789, -2.501, 4.876]], "species": ["Li", "Li", "Li", "Li", "Li", "Li", "Li", "Li", "Mn", "Mn", "Mn", "Mn", "P", "P", "P", "P", "P", "P", "P", "P", "O", "O", "O", "O", "O", "O", "O", "O", "O", "O", "O", "O", "O", "O", "O", "O", "O", "O", "O", "O", "O", "O", "O", "O", "O", "O", "O", "O"], "frac_coords": [[0.569, 0.810, 0.573], [0.569, 0.310, 0.073], [0.431, 0.690, 0.927], [0.431, 0.190, 0.427], [0.995, 0.066, 0.772], [0.995, 0.566, 0.272], [0.005, 0.434, 0.728], [0.005, 0.934, 0.228], [0.283, 0.403, 0.635], [0.717, 0.597, 0.365], [0.283, 0.903, 0.135], [0.717, 0.097, 0.865], [0.820, 0.242, 0.461], [0.820, 0.742, 0.961], [0.180, 0.258, 0.039], [0.180, 0.758, 0.539], [0.300, 0.514, 0.235], [0.300, 0.014, 0.735], [0.700, 0.986, 0.265], [0.700, 0.486, 0.765], [0.787, 0.991, 0.139], [0.787, 0.491, 0.639], [0.213, 0.509, 0.361], [0.213, 0.009, 0.861], [0.847, 0.109, 0.386], [0.847, 0.609, 0.886], [0.153, 0.391, 0.114], [0.153, 0.891, 0.614], [0.664, 0.815, 0.384], [0.664, 0.315, 0.884], [0.336, 0.685, 0.116], [0.336, 0.185, 0.616], [0.782, 0.890, 0.813], [0.782, 0.390, 0.313], [0.218, 0.610, 0.687], [0.218, 0.110, 0.187], [0.675, 0.656, 0.046], [0.675, 0.156, 0.546], [0.325, 0.844, 0.454], [0.325, 0.344, 0.954], [0.000, 0.787, 0.091], [0.000, 0.287, 0.591], [0.000, 0.713, 0.409], [0.000, 0.213, 0.909], [0.542, 0.060, 0.183], [0.542, 0.560, 0.683], [0.458, 0.440, 0.317], [0.458, 0.940, 0.817]]}

***

(4)
{"formula": "Sm2FeAs2O", "functional": "PBE+U", "state": "relaxed", "energy_ev_per_atom": -5.058, "sg": "No. 123", "crystal_system": "tetragonal", "cell": [[-3.234, 0.339, -0.261], [-0.227, -3.045, -1.146], [-1.688, -5.196, 14.144]], "species": ["Sm", "Sm", "Fe", "As", "As", "O"], "frac_coords": [[0.500, 0.500, 0.637], [0.500, 0.500, 0.363], [0.500, 0.500, 0.000], [0.500, 0.500, 0.163], [0.500, 0.500, 0.837], [0.500, 0.500, 0.500]]}

***

(5)
{"formula": "MgMn3Cu3O8", "functional": "PBE+U", "state": "relaxed", "relative_energy_mev_per_atom": 67.7, "sg": "No. 166", "crystal_system": "trigonal", "cell": [[6.354, 0.210, 0.148], [3.359, 5.397, 0.148], [3.359, 1.939, 5.039]], "species": ["Mg", "Mn", "Mn", "Mn", "Cu", "Cu", "Cu", "O", "O", "O", "O", "O", "O", "O", "O"], "frac_coords": [[0.125, 0.125, 0.125], [0.125, 0.625, 0.625], [0.625, 0.125, 0.625], [0.625, 0.625, 0.125], [0.972, 0.972, 0.972], [0.278, 0.278, 0.278], [0.625, 0.625, 0.625], [0.394, 0.394, 0.394], [0.366, 0.366, 0.855], [0.366, 0.855, 0.366], [0.855, 0.366, 0.366], [0.395, 0.884, 0.884], [0.884, 0.395, 0.884], [0.884, 0.884, 0.395], [0.856, 0.856, 0.856]]}

***

(6)
{"formula": "CrH14N4Cl3O", "functional": "PBE+U", "state": "relaxed", "relative_energy_mev_per_atom": 105.1, "sg": "No. 62", "crystal_system": "orthorhombic", "cell": [[6.838, 0.000, 0.000], [0.000, 10.697, 0.000], [0.000, 0.000, 13.389]], "species": ["Cr", "Cr", "Cr", "Cr", "H", "H", "H", "H", "H", "H", "H", "H", "H", "H", "H", "H", "H", "H", "H", "H", "H", "H", "H", "H", "H", "H", "H", "H", "H", "H", "H", "H", "H", "H", "H", "H", "H", "H", "H", "H", "H", "H", "H", "H", "H", "H", "H", "H", "H", "H", "H", "H", "H", "H", "H", "H", "H", "H", "H", "H", "N", "N", "N", "N", "N", "N", "N", "N", "N", "N", "N", "N", "N", "N", "N", "N", "Cl", "Cl", "Cl", "Cl", "Cl", "Cl", "Cl", "Cl", "Cl", "Cl", "Cl", "Cl", "O", "O", "O", "O"], "frac_coords": [[0.828, 0.750, 0.597], [0.672, 0.750, 0.097], [0.172, 0.250, 0.403], [0.328, 0.250, 0.903], [0.147, 0.825, 0.685], [0.353, 0.675, 0.185], [0.853, 0.325, 0.315], [0.647, 0.175, 0.815], [0.853, 0.175, 0.315], [0.647, 0.325, 0.815], [0.147, 0.675, 0.685], [0.353, 0.825, 0.185], [0.704, 0.750, 0.786], [0.796, 0.750, 0.286], [0.296, 0.250, 0.214], [0.204, 0.250, 0.714], [0.546, 0.673, 0.716], [0.954, 0.827, 0.216], [0.454, 0.173, 0.284], [0.046, 0.327, 0.784], [0.454, 0.327, 0.284], [0.046, 0.173, 0.784], [0.546, 0.827, 0.716], [0.954, 0.673, 0.216], [0.453, 0.750, 0.539], [0.047, 0.750, 0.039], [0.547, 0.250, 0.461], [0.953, 0.250, 0.961], [0.587, 0.673, 0.456], [0.913, 0.827, 0.956], [0.413, 0.173, 0.544], [0.087, 0.327, 0.044], [0.413, 0.327, 0.544], [0.087, 0.173, 0.044], [0.587, 0.827, 0.456], [0.913, 0.673, 0.956], [0.793, 0.983, 0.529], [0.707, 0.517, 0.029], [0.207, 0.483, 0.471], [0.293, 0.017, 0.971], [0.207, 0.017, 0.471], [0.293, 0.483, 0.971], [0.793, 0.517, 0.529], [0.707, 0.983, 0.029], [0.954, 0.982, 0.621], [0.546, 0.518, 0.121], [0.046, 0.482, 0.379], [0.454, 0.018, 0.879], [0.046, 0.018, 0.379], [0.454, 0.482, 0.879], [0.954, 0.518, 0.621], [0.546, 0.982, 0.121], [0.718, 0.981, 0.646], [0.782, 0.519, 0.146], [0.282, 0.481, 0.354], [0.218, 0.019, 0.854], [0.282, 0.019, 0.354], [0.218, 0.481, 0.854], [0.718, 0.519, 0.646], [0.782, 0.981, 0.146], [0.822, 0.947, 0.598], [0.678, 0.553, 0.098], [0.178, 0.447, 0.402], [0.322, 0.053, 0.902], [0.178, 0.053, 0.402], [0.322, 0.447, 0.902], [0.822, 0.553, 0.598], [0.678, 0.947, 0.098], [0.636, 0.750, 0.718], [0.864, 0.750, 0.218], [0.364, 0.250, 0.282], [0.136, 0.250, 0.782], [0.584, 0.750, 0.502], [0.916, 0.750, 0.002], [0.416, 0.250, 0.498], [0.084, 0.250, 0.998], [0.040, 0.750, 0.459], [0.460, 0.750, 0.959], [0.960, 0.250, 0.541], [0.540, 0.250, 0.041], [0.822, 0.020, 0.851], [0.678, 0.480, 0.351], [0.178, 0.520, 0.149], [0.322, 0.980, 0.649], [0.178, 0.980, 0.149], [0.322, 0.520, 0.649], [0.822, 0.480, 0.851], [0.678, 0.020, 0.351], [0.060, 0.750, 0.696], [0.440, 0.750, 0.196], [0.940, 0.250, 0.304], [0.560, 0.250, 0.804]]}

***

(7)
{"formula": "Ca2W3O8", "functional": "PBE+U", "state": "relaxed", "relative_energy_mev_per_atom": 203.2, "sg": "No. 12", "crystal_system": "monoclinic", "cell": [[2.180, -6.167, -1.047], [5.452, -2.766, 2.552], [-1.693, -2.574, 3.971]], "species": ["Ca", "Ca", "W", "W", "W", "O", "O", "O", "O", "O", "O", "O", "O"], "frac_coords": [[0.725, 0.725, 0.329], [0.275, 0.275, 0.671], [0.000, 0.000, 0.500], [0.771, 0.229, 0.000], [0.229, 0.771, 0.000], [0.410, 0.410, 0.913], [0.590, 0.590, 0.087], [0.874, 0.874, 0.915], [0.126, 0.126, 0.085], [0.346, 0.876, 0.611], [0.876, 0.346, 0.611], [0.124, 0.654, 0.389], [0.654, 0.124, 0.389]]}

***

(8)
{"formula": "Li2Mn2SbO6", "functional": "PBE+U", "state": "relaxed", "relative_energy_mev_per_atom": 14.7, "sg": "No. 64", "crystal_system": "orthorhombic", "cell": [[2.789, -4.582, 0.000], [2.789, 4.582, 0.000], [0.000, 0.000, 10.291]], "species": ["Li", "Li", "Li", "Li", "Mn", "Mn", "Mn", "Mn", "Sb", "Sb", "O", "O", "O", "O", "O", "O", "O", "O", "O", "O", "O", "O"], "frac_coords": [[0.607, 0.107, 0.750], [0.893, 0.393, 0.250], [0.107, 0.607, 0.750], [0.393, 0.893, 0.250], [0.834, 0.166, 0.500], [0.666, 0.334, 0.000], [0.334, 0.666, 0.000], [0.166, 0.834, 0.500], [0.000, 0.000, 0.000], [0.500, 0.500, 0.500], [0.709, 0.045, 0.114], [0.291, 0.955, 0.886], [0.545, 0.209, 0.386], [0.791, 0.455, 0.614], [0.182, 0.182, 0.589], [0.318, 0.318, 0.089], [0.682, 0.682, 0.911], [0.955, 0.291, 0.886], [0.818, 0.818, 0.411], [0.209, 0.545, 0.386], [0.455, 0.791, 0.614], [0.045, 0.709, 0.114]]}

***

What did the third record say?
{"formula": "Li2MnP2O7", "functional": "PBE+U", "state": "relaxed", "relative_energy_mev_per_atom": 20.3, "cell": [[-7.439, -0.704, 4.252], [2.667, -7.881, -2.766], [6.789, -2.501, 4.876]], "species": ["Li", "Li", "Li", "Li", "Li", "Li", "Li", "Li", "Mn", "Mn", "Mn", "Mn", "P", "P", "P", "P", "P", "P", "P", "P", "O", "O", "O", "O", "O", "O", "O", "O", "O", "O", "O", "O", "O", "O", "O", "O", "O", "O", "O", "O", "O", "O", "O", "O", "O", "O", "O", "O"], "frac_coords": [[0.569, 0.810, 0.573], [0.569, 0.310, 0.073], [0.431, 0.690, 0.927], [0.431, 0.190, 0.427], [0.995, 0.066, 0.772], [0.995, 0.566, 0.272], [0.005, 0.434, 0.728], [0.005, 0.934, 0.228], [0.283, 0.403, 0.635], [0.717, 0.597, 0.365], [0.283, 0.903, 0.135], [0.717, 0.097, 0.865], [0.820, 0.242, 0.461], [0.820, 0.742, 0.961], [0.180, 0.258, 0.039], [0.180, 0.758, 0.539], [0.300, 0.514, 0.235], [0.300, 0.014, 0.735], [0.700, 0.986, 0.265], [0.700, 0.486, 0.765], [0.787, 0.991, 0.139], [0.787, 0.491, 0.639], [0.213, 0.509, 0.361], [0.213, 0.009, 0.861], [0.847, 0.109, 0.386], [0.847, 0.609, 0.886], [0.153, 0.391, 0.114], [0.153, 0.891, 0.614], [0.664, 0.815, 0.384], [0.664, 0.315, 0.884], [0.336, 0.685, 0.116], [0.336, 0.185, 0.616], [0.782, 0.890, 0.813], [0.782, 0.390, 0.313], [0.218, 0.610, 0.687], [0.218, 0.110, 0.187], [0.675, 0.656, 0.046], [0.675, 0.156, 0.546], [0.325, 0.844, 0.454], [0.325, 0.344, 0.954], [0.000, 0.787, 0.091], [0.000, 0.287, 0.591], [0.000, 0.713, 0.409], [0.000, 0.213, 0.909], [0.542, 0.060, 0.183], [0.542, 0.560, 0.683], [0.458, 0.440, 0.317], [0.458, 0.940, 0.817]]}

***

What did the third record say?
{"formula": "Li2MnP2O7", "functional": "PBE+U", "state": "relaxed", "relative_energy_mev_per_atom": 20.3, "cell": [[-7.439, -0.704, 4.252], [2.667, -7.881, -2.766], [6.789, -2.501, 4.876]], "species": ["Li", "Li", "Li", "Li", "Li", "Li", "Li", "Li", "Mn", "Mn", "Mn", "Mn", "P", "P", "P", "P", "P", "P", "P", "P", "O", "O", "O", "O", "O", "O", "O", "O", "O", "O", "O", "O", "O", "O", "O", "O", "O", "O", "O", "O", "O", "O", "O", "O", "O", "O", "O", "O"], "frac_coords": [[0.569, 0.810, 0.573], [0.569, 0.310, 0.073], [0.431, 0.690, 0.927], [0.431, 0.190, 0.427], [0.995, 0.066, 0.772], [0.995, 0.566, 0.272], [0.005, 0.434, 0.728], [0.005, 0.934, 0.228], [0.283, 0.403, 0.635], [0.717, 0.597, 0.365], [0.283, 0.903, 0.135], [0.717, 0.097, 0.865], [0.820, 0.242, 0.461], [0.820, 0.742, 0.961], [0.180, 0.258, 0.039], [0.180, 0.758, 0.539], [0.300, 0.514, 0.235], [0.300, 0.014, 0.735], [0.700, 0.986, 0.265], [0.700, 0.486, 0.765], [0.787, 0.991, 0.139], [0.787, 0.491, 0.639], [0.213, 0.509, 0.361], [0.213, 0.009, 0.861], [0.847, 0.109, 0.386], [0.847, 0.609, 0.886], [0.153, 0.391, 0.114], [0.153, 0.891, 0.614], [0.664, 0.815, 0.384], [0.664, 0.315, 0.884], [0.336, 0.685, 0.116], [0.336, 0.185, 0.616], [0.782, 0.890, 0.813], [0.782, 0.390, 0.313], [0.218, 0.610, 0.687], [0.218, 0.110, 0.187], [0.675, 0.656, 0.046], [0.675, 0.156, 0.546], [0.325, 0.844, 0.454], [0.325, 0.344, 0.954], [0.000, 0.787, 0.091], [0.000, 0.287, 0.591], [0.000, 0.713, 0.409], [0.000, 0.213, 0.909], [0.542, 0.060, 0.183], [0.542, 0.560, 0.683], [0.458, 0.440, 0.317], [0.458, 0.940, 0.817]]}

***

- Number 6 is which compound?
  CrH14N4Cl3O